1.
# Pr2Tl3In3 PBE-GGA optimized geometry
# V ... 221.7 Å³/cell
# Electronic total energy ... -28.01 eV/cell
data_Pr2Tl3In3
_cell_length_a 4.816
_cell_length_b 4.848
_cell_length_c 9.496
_cell_angle_alpha 90.00
_cell_angle_beta 90.00
_cell_angle_gamma 90.00
_symmetry_space_group_name_H-M 'P m m m'
_symmetry_Int_Tables_number 47
_symmetry_space_group_name_Hall '-P 2 2'
loop_
_atom_site_label
_atom_site_fract_x
_atom_site_fract_y
_atom_site_fract_z
Pr1 0.000 0.000 0.249
Tl1 0.000 0.500 0.500
Tl2 0.500 0.000 0.000
Tl3 0.500 0.000 0.500
In1 0.000 0.500 0.000
In2 0.500 0.500 0.247

***

2.
# Pr2TlIn PBE-GGA optimized geometry
# V ... 485.0 Å³/cell
# Electronic total energy ... -65.70 eV/cell
data_Pr2TlIn
_cell_length_a 7.857
_cell_length_b 7.857
_cell_length_c 7.857
_cell_angle_alpha 90.00
_cell_angle_beta 90.00
_cell_angle_gamma 90.00
_symmetry_space_group_name_H-M 'F m -3 m'
_symmetry_Int_Tables_number 225
_symmetry_space_group_name_Hall '-F 4 2 3'
loop_
_atom_site_label
_atom_site_fract_x
_atom_site_fract_y
_atom_site_fract_z
Pr1 0.250 0.250 0.250
Tl1 0.000 0.000 0.000
In1 0.000 0.000 0.500

***

3.
# Pr2ZnIn PBE-GGA optimized geometry
# V ... 524.0 Å³/cell
# Electronic total energy ... -58.89 eV/cell
data_Pr2ZnIn
_cell_length_a 8.062
_cell_length_b 8.062
_cell_length_c 8.062
_cell_angle_alpha 90.00
_cell_angle_beta 90.00
_cell_angle_gamma 90.00
_symmetry_space_group_name_H-M 'F m -3 m'
_symmetry_Int_Tables_number 225
_symmetry_space_group_name_Hall '-F 4 2 3'
loop_
_atom_site_label
_atom_site_fract_x
_atom_site_fract_y
_atom_site_fract_z
Pr1 0.250 0.250 0.250
Zn1 0.000 0.000 0.000
In1 0.000 0.000 0.500

***

4.
# In2Pt3 PBE-GGA optimized geometry
# V ... 388.2 Å³/cell
# Electronic total energy ... -104.35 eV/cell
data_In2Pt3
_cell_length_a 5.6650
_cell_length_b 5.6650
_cell_length_c 13.9671
_cell_angle_alpha 90.00
_cell_angle_beta 90.00
_cell_angle_gamma 120.00
_symmetry_space_group_name_H-M 'P 63/m m c'
_symmetry_Int_Tables_number 194
_symmetry_space_group_name_Hall '-P 6c 2c'
loop_
_atom_site_label
_atom_site_fract_x
_atom_site_fract_y
_atom_site_fract_z
In1 0.0000 0.0000 0.2500
In2 0.3333 0.6667 0.0868
In3 0.3333 0.6667 0.7500
Pt1 0.1657 0.3314 0.5896

***

5.
# In3Pt4 PBE-GGA optimized geometry
# V ... 394.1 Å³/cell
# Electronic total energy ... -106.78 eV/cell
data_In3Pt4
_cell_length_a 7.198
_cell_length_b 7.225
_cell_length_c 8.976
_cell_angle_alpha 107.92
_cell_angle_beta 108.11
_cell_angle_gamma 103.22
_symmetry_space_group_name_H-M 'P 1'
_symmetry_Int_Tables_number 1
_symmetry_space_group_name_Hall 'P 1'
loop_
_atom_site_label
_atom_site_fract_x
_atom_site_fract_y
_atom_site_fract_z
In1 0.000 0.000 0.000
In2 0.006 0.998 0.427
In3 0.389 0.868 0.301
In4 0.422 0.433 0.428
In5 0.450 0.917 0.795
In6 0.480 0.471 0.950
In7 0.885 0.354 0.810
In8 0.900 0.365 0.248
In9 0.943 0.673 0.618
Pt1 0.151 0.104 0.776
Pt2 0.189 0.434 0.621
Pt3 0.195 0.427 0.119
Pt4 0.226 0.725 0.948
Pt5 0.440 0.174 0.613
Pt6 0.445 0.176 0.121
Pt7 0.659 0.638 0.775
Pt8 0.669 0.629 0.297
Pt9 0.690 0.930 0.118
Pt10 0.698 0.927 0.613
Pt11 0.737 0.231 0.455
Pt12 0.946 0.681 0.123

***

6.
# InPt2 PBE-GGA optimized geometry
# V ... 412.8 Å³/cell
# Electronic total energy ... -128.52 eV/cell
data_InPt2
_cell_length_a 5.755
_cell_length_b 4.143
_cell_length_c 17.340
_cell_angle_alpha 90.00
_cell_angle_beta 93.05
_cell_angle_gamma 90.00
_symmetry_space_group_name_H-M 'P 1 2/m 1'
_symmetry_Int_Tables_number 10
_symmetry_space_group_name_Hall '-P 2y'
loop_
_atom_site_label
_atom_site_fract_x
_atom_site_fract_y
_atom_site_fract_z
In1 0.001 0.000 0.331
In2 0.252 0.500 0.916
In3 0.275 0.500 0.239
In4 0.275 0.500 0.576
Pt1 0.000 0.000 0.000
Pt2 0.000 0.000 0.500
Pt3 0.001 0.000 0.168
Pt4 0.231 0.500 0.411
Pt5 0.237 0.500 0.745
Pt6 0.244 0.500 0.080
Pt7 0.492 0.000 0.835
Pt8 0.499 0.000 0.333
Pt9 0.500 0.000 0.000
Pt10 0.500 0.000 0.500

***

7.
# In3Pt2 PBE-GGA optimized geometry
# V ... 104.3 Å³/cell
# Electronic total energy ... -22.72 eV/cell
data_In3Pt2
_cell_length_a 4.6288
_cell_length_b 4.6288
_cell_length_c 5.6219
_cell_angle_alpha 90.00
_cell_angle_beta 90.00
_cell_angle_gamma 120.00
_symmetry_space_group_name_H-M 'P -3 m 1'
_symmetry_Int_Tables_number 164
_symmetry_space_group_name_Hall '-P 3 2"'
loop_
_atom_site_label
_atom_site_fract_x
_atom_site_fract_y
_atom_site_fract_z
In1 0.0000 0.0000 0.0000
In2 0.3333 0.6667 0.3514
Pt1 0.3333 0.6667 0.8408

***

8.
# In5Pt11 PBE-GGA optimized geometry
# V ... 271.8 Å³/cell
# Electronic total energy ... -86.68 eV/cell
data_In5Pt11
_cell_length_a 5.742
_cell_length_b 4.106
_cell_length_c 11.538
_cell_angle_alpha 90.00
_cell_angle_beta 92.47
_cell_angle_gamma 90.00
_symmetry_space_group_name_H-M 'P 1 2/m 1'
_symmetry_Int_Tables_number 10
_symmetry_space_group_name_Hall '-P 2y'
loop_
_atom_site_label
_atom_site_fract_x
_atom_site_fract_y
_atom_site_fract_z
In1 0.000 0.000 0.000
In2 0.254 0.500 0.374
In3 0.275 0.500 0.861
Pt1 0.000 0.000 0.500
Pt2 0.001 0.000 0.752
Pt3 0.236 0.500 0.118
Pt4 0.242 0.500 0.621
Pt5 0.494 0.000 0.253
Pt6 0.500 0.000 0.000
Pt7 0.500 0.000 0.500

***

What did the first record say?
# Pr2Tl3In3 PBE-GGA optimized geometry
# V ... 221.7 Å³/cell
# Electronic total energy ... -28.01 eV/cell
data_Pr2Tl3In3
_cell_length_a 4.816
_cell_length_b 4.848
_cell_length_c 9.496
_cell_angle_alpha 90.00
_cell_angle_beta 90.00
_cell_angle_gamma 90.00
_symmetry_space_group_name_H-M 'P m m m'
_symmetry_Int_Tables_number 47
_symmetry_space_group_name_Hall '-P 2 2'
loop_
_atom_site_label
_atom_site_fract_x
_atom_site_fract_y
_atom_site_fract_z
Pr1 0.000 0.000 0.249
Tl1 0.000 0.500 0.500
Tl2 0.500 0.000 0.000
Tl3 0.500 0.000 0.500
In1 0.000 0.500 0.000
In2 0.500 0.500 0.247

***

Among the records above, which one has the lowest electronic total energy?
InPt2

***

What is the formula in the fourth record?
In2Pt3